Entry 1:
Li2Co3SnO8 | the Materials Project | PBE with a Hubbard U | relaxed; total energy = -5.84 eV per atom; energy relative to the lowest polymorph listed for this composition = 0.000 eV per atom; formation energy = -1.6760 eV per atom
1.0
-7.3365 1.3002 3.6086
-0.4378 -8.0215 2.0001
3.8107 1.5817 7.1773
O Co Sn Li
32 12 4 8
Direct
0.1278 0.6108 0.4028
0.0972 0.8722 0.1108
0.6528 0.3608 0.6222
0.5972 0.6278 0.8892
0.9028 0.3722 0.3892
0.1392 0.3778 0.1528
0.8778 0.3472 0.8608
0.3661 0.3661 0.3661
0.3778 0.1528 0.1392
0.4028 0.1278 0.6108
0.6339 0.8661 0.1339
0.8722 0.1108 0.0972
0.8472 0.6392 0.1222
0.3839 0.6161 0.1161
0.1339 0.6339 0.8661
0.3472 0.8608 0.8778
0.8608 0.8778 0.3472
0.6222 0.6528 0.3608
0.6278 0.8892 0.5972
0.3608 0.6222 0.6528
0.1108 0.0972 0.8722
0.6161 0.1161 0.3839
0.6108 0.4028 0.1278
0.3892 0.9028 0.3722
0.3722 0.3892 0.9028
0.8839 0.8839 0.8839
0.8892 0.5972 0.6278
0.1528 0.1392 0.3778
0.1222 0.8472 0.6392
0.1161 0.3839 0.6161
0.6392 0.1222 0.8472
0.8661 0.1339 0.6339
0.8750 0.1148 0.8648
0.6250 0.8852 0.3648
0.6352 0.1250 0.6148
0.1352 0.3750 0.3852
0.1148 0.8648 0.8750
0.3852 0.1352 0.3750
0.1250 0.6148 0.6352
0.3750 0.3852 0.1352
0.3648 0.6250 0.8852
0.8648 0.8750 0.1148
0.8852 0.3648 0.6250
0.6148 0.6352 0.1250
0.3750 0.8750 0.6250
0.6250 0.3750 0.8750
0.1250 0.1250 0.1250
0.8750 0.6250 0.3750
0.7503 0.2503 0.2497
0.0003 0.9997 0.4997
0.4997 0.0003 0.9997
0.9997 0.4997 0.0003
0.5003 0.5003 0.5003
0.2503 0.2497 0.7503
0.7497 0.7497 0.7497
0.2497 0.7503 0.2503

---

Entry 2:
Li2Co3SnO8 | the Materials Project | PBE with a Hubbard U | relaxed; total energy = -5.84 eV per atom; energy relative to the lowest polymorph listed for this composition = 0.004 eV per atom; formation energy = -1.6720 eV per atom
1.0
2.8966 -5.0171 0.0000
2.8966 5.0171 0.0000
0.0000 0.0000 9.5196
O Co Li Sn
16 6 4 2
Direct
0.5161 0.4839 0.8301
0.0321 0.5161 0.3301
0.8424 0.1576 0.1060
0.0000 0.0000 0.8072
0.1576 0.3152 0.6060
0.1576 0.8424 0.6060
0.5161 0.0321 0.8301
0.3152 0.1576 0.1060
0.3333 0.6667 0.1133
0.6848 0.8424 0.6060
0.6667 0.3333 0.6133
0.0000 0.0000 0.3072
0.8424 0.6848 0.1060
0.9679 0.4839 0.8301
0.4839 0.5161 0.3301
0.4839 0.9679 0.3301
0.1698 0.8302 0.2149
0.8302 0.1698 0.7149
0.1698 0.3396 0.2149
0.6604 0.8302 0.2149
0.3396 0.1698 0.7149
0.8302 0.6604 0.7149
0.6667 0.3333 0.3897
0.3333 0.6667 0.8897
0.0000 0.0000 0.4968
0.0000 0.0000 0.9968
0.3333 0.6667 0.4932
0.6667 0.3333 0.9932

---

Entry 3:
Li5Co3Sn2O10 | the Materials Project | PBE with a Hubbard U | relaxed; total energy = -5.71 eV per atom; energy relative to the lowest polymorph listed for this composition = 0.000 eV per atom; formation energy = -1.8768 eV per atom
1.0
5.2639 0.1446 0.0743
-1.1275 5.1498 -0.1194
-1.6807 -2.7051 7.3591
O Sn Li Co
10 2 5 3
Direct
0.2154 0.4856 0.2230
0.4586 0.8905 0.6611
0.1425 0.3149 0.5462
0.6759 0.3034 0.0493
0.9408 0.9109 0.1486
0.5414 0.1095 0.3389
0.3241 0.6966 0.9507
0.7846 0.5144 0.7770
0.8575 0.6851 0.4538
0.0592 0.0891 0.8514
0.1074 0.7071 0.6986
0.8926 0.2929 0.3014
0.4173 0.2926 0.7971
0.7781 0.0848 0.5989
0.5827 0.7074 0.2029
0.5000 0.5000 0.5000
0.2219 0.9152 0.4011
0.7029 0.8986 0.8992
0.0000 0.5000 0.0000
0.2971 0.1014 0.1008

---

Entry 4:
Li4Ti2Co3Sn3O16 | the Materials Project | PBE with a Hubbard U | relaxed; total energy = -6.49 eV per atom; energy relative to the lowest polymorph listed for this composition = 0.006 eV per atom; formation energy = -2.2037 eV per atom
1.0
-1.0771 -5.7179 -1.5673
3.8136 -0.6272 10.6237
-7.3246 -0.7940 7.6819
O Li Sn Ti Co
32 8 6 4 6
Direct
0.6523 0.3119 0.3457
0.0495 0.0907 0.1231
0.5376 0.5919 0.3024
0.4394 0.8365 0.0589
0.7090 0.8425 0.3379
0.3887 0.3541 0.5699
0.3217 0.6076 0.0277
0.5497 0.0908 0.6243
0.1472 0.8502 0.3257
0.2068 0.8473 0.8393
0.1426 0.3104 0.8488
0.5613 0.1002 0.1118
0.7853 0.5979 0.0390
0.9368 0.3410 0.5726
0.0429 0.5947 0.8027
0.6714 0.3533 0.8453
0.8925 0.3544 0.0675
0.8254 0.6079 0.5273
0.8802 0.8020 0.1004
0.2923 0.0901 0.8725
0.5476 0.5954 0.7872
0.7886 0.0881 0.8654
0.0436 0.5981 0.2877
0.2929 0.0906 0.3629
0.9391 0.8373 0.5575
0.0539 0.0974 0.6159
0.7918 0.0886 0.3730
0.4397 0.3416 0.0729
0.3836 0.8023 0.6002
0.6397 0.8477 0.8242
0.2854 0.5976 0.5394
0.1713 0.3546 0.3453
0.2009 0.4021 0.1329
0.7328 0.4986 0.2564
0.9643 0.9888 0.0115
0.2322 0.4981 0.7583
0.4677 0.9891 0.5098
0.9606 0.8909 0.7157
0.4616 0.8918 0.2146
0.7000 0.4018 0.6337
0.6121 0.2150 0.2214
0.1127 0.7140 0.0587
0.1052 0.2139 0.7233
0.8641 0.2132 0.4766
0.6135 0.7122 0.5605
0.3637 0.2148 0.9766
0.5134 0.9895 0.8250
0.7649 0.4939 0.9138
0.0232 0.9879 0.3250
0.2604 0.4943 0.4147
0.1067 0.7142 0.5525
0.3699 0.7182 0.8132
0.8514 0.2130 0.9783
0.8592 0.7164 0.3130
0.6038 0.7126 0.0543
0.3530 0.2169 0.4778

---

Entry 5:
Li4Ti2Co3Sn3O16 | the Materials Project | PBE with a Hubbard U | relaxed; total energy = -6.50 eV per atom; energy relative to the lowest polymorph listed for this composition = 0.000 eV per atom; formation energy = -2.2093 eV per atom
1.0
6.1032 -0.0074 0.0084
-3.0580 5.2945 0.0005
0.0142 0.0085 9.6684
O Co Ti Sn Li
16 3 2 3 4
Direct
0.9577 0.4787 0.8408
0.0267 0.5132 0.3419
0.9967 0.9982 0.3099
0.1656 0.3364 0.5942
0.8370 0.6568 0.0879
0.5289 0.4826 0.8460
0.6826 0.3418 0.6056
0.4727 0.9566 0.3530
0.9892 0.9943 0.8012
0.8369 0.1801 0.0881
0.1662 0.8294 0.5941
0.3323 0.1662 0.0909
0.4731 0.5163 0.3528
0.3364 0.6684 0.0973
0.5293 0.0464 0.8457
0.6545 0.8275 0.5971
0.8351 0.6562 0.7183
0.6580 0.8290 0.2164
0.8350 0.1789 0.7180
0.3549 0.6778 0.4978
0.6838 0.3420 0.9919
0.1726 0.3421 0.2147
0.3429 0.1715 0.7112
0.1725 0.8305 0.2147
0.6660 0.3331 0.4008
0.9798 0.9897 0.4975
0.9653 0.9828 0.9880
0.3481 0.6740 0.8919

---

Entry 6:
Li4Ti3Co3Sn2O16 | the Materials Project | PBE with a Hubbard U | relaxed; total energy = -6.81 eV per atom; formation energy = -2.3867 eV per atom
1.0
2.9654 5.0413 0.0000
-2.9654 5.0413 0.0000
0.0000 0.0184 9.7527
Co O Sn Li Ti
3 16 2 4 3
Direct
0.6585 0.1693 0.2859
0.1693 0.6585 0.2859
0.8255 0.8255 0.7880
0.4829 0.0357 0.1646
0.9967 0.9967 0.1934
0.8421 0.8421 0.3943
0.6764 0.1771 0.9020
0.9969 0.9969 0.6951
0.1662 0.1662 0.8976
0.3177 0.8387 0.3962
0.8387 0.3177 0.3962
0.4958 0.9671 0.6522
0.3339 0.3339 0.3904
0.5146 0.5146 0.6658
0.4842 0.4842 0.1750
0.1771 0.6764 0.9020
0.9671 0.4958 0.6522
0.0357 0.4829 0.1646
0.6599 0.6599 0.8959
0.6673 0.6673 0.5038
0.3416 0.3416 0.0138
0.6687 0.6687 0.1090
0.3334 0.3334 0.5988
0.9960 0.9960 0.5070
0.9911 0.9911 0.0073
0.8330 0.3412 0.7844
0.3412 0.8330 0.7844
0.1693 0.1693 0.2851

---

Entry 7:
Li4V3Co2Sn3O16 | the Materials Project | PBE with a Hubbard U | relaxed; total energy = -6.46 eV per atom; formation energy = -2.1374 eV per atom
1.0
6.0907 0.0000 0.0000
-3.0199 5.3401 0.0000
-0.0429 -0.0347 9.8367
O Li V Sn Co
16 4 3 3 2
Direct
0.1739 0.8477 0.1043
0.8540 0.1728 0.6016
0.1858 0.3177 0.1075
0.0127 0.0043 0.3180
0.5002 0.0333 0.3292
0.0120 0.0051 0.8091
0.0081 0.5078 0.8341
0.4537 0.9631 0.8325
0.6584 0.3293 0.0988
0.3295 0.1917 0.5981
0.6994 0.8534 0.0917
0.4617 0.5134 0.8331
0.3069 0.6588 0.6081
0.5147 0.4792 0.3339
0.9688 0.4783 0.3384
0.8483 0.6901 0.6038
0.6332 0.3196 0.8922
0.0383 0.0167 0.9926
0.3261 0.6576 0.3963
0.0076 0.9981 0.5006
0.3427 0.1666 0.2179
0.1894 0.3228 0.6995
0.1271 0.7752 0.7345
0.6544 0.8428 0.7149
0.8369 0.1702 0.2127
0.8341 0.6632 0.2132
0.6799 0.3508 0.4951
0.3422 0.6699 0.9960

---

Entry 8:
Li4V3Co3Sn2O16 | the Materials Project | PBE with a Hubbard U | relaxed; total energy = -6.45 eV per atom; formation energy = -2.0819 eV per atom
1.0
-4.2188 3.0350 -2.9182
-4.6899 2.1780 2.9834
4.7112 8.3512 1.6024
Co O Li V Sn
3 16 4 3 2
Direct
0.1729 0.6561 0.2149
0.3394 0.8307 0.7104
0.1771 0.1649 0.2103
0.1378 0.1803 0.6015
0.0414 0.4910 0.3342
0.5245 0.9615 0.8428
0.6688 0.1706 0.6015
0.9670 0.5159 0.8407
0.3807 0.3078 0.0999
0.5395 0.4939 0.8337
0.3126 0.8330 0.0986
0.8381 0.8377 0.1087
0.1558 0.6834 0.5989
0.8236 0.3237 0.1027
0.9759 0.9995 0.8068
0.5049 0.0391 0.3445
0.6977 0.6665 0.6028
0.9700 0.0191 0.3059
0.4831 0.4847 0.3313
0.3368 0.3291 0.8974
0.9970 0.9980 0.4930
0.6776 0.6675 0.3923
0.9954 0.0023 0.9955
0.8271 0.8241 0.7203
0.8182 0.3404 0.7127
0.6573 0.1662 0.2183
0.6604 0.6662 0.9953
0.3196 0.3471 0.4930